Record 1
{"formula": "AlCrO4", "functional": "GGA+U", "state": "relaxed", "total_magnetization_mub_per_atom": 0.17, "e_tot_ev_per_atom": -7.126, "lattice_angstrom": [[3.121, -3.196, 0.000], [3.121, 3.196, 0.000], [0.000, 0.000, 2.903]], "species": ["O", "O", "O", "O", "Cr", "Al"], "frac_coords": [[0.698, 0.302, 0.000], [0.197, 0.197, 0.500], [0.302, 0.698, 0.000], [0.803, 0.803, 0.500], [0.500, 0.500, 0.500], [0.000, 0.000, 0.000]]}



Record 2
{"formula": "Li2Mn2CuO6", "functional": "GGA+U", "state": "relaxed", "total_magnetization_mub_per_atom": 0.64, "e_tot_ev_per_atom": -6.172, "lattice_angstrom": [[-1.893, 1.107, 4.615], [1.229, -4.793, -1.275], [9.564, 1.504, 3.563]], "species": ["Li", "Li", "Li", "Li", "O", "O", "O", "O", "O", "O", "O", "O", "O", "O", "O", "O", "Mn", "Mn", "Mn", "Mn", "Cu", "Cu"], "frac_coords": [[0.673, 0.173, 0.250], [0.327, 0.827, 0.750], [0.827, 0.327, 0.750], [0.173, 0.673, 0.250], [0.630, 0.001, 0.893], [0.337, 0.337, 0.906], [0.999, 0.370, 0.107], [0.870, 0.499, 0.393], [0.663, 0.663, 0.094], [0.001, 0.630, 0.893], [0.499, 0.870, 0.393], [0.130, 0.501, 0.607], [0.501, 0.130, 0.607], [0.163, 0.163, 0.406], [0.370, 0.999, 0.107], [0.837, 0.837, 0.594], [0.835, 0.165, 0.500], [0.665, 0.335, 0.000], [0.335, 0.665, 0.000], [0.165, 0.835, 0.500], [0.000, 0.000, 0.000], [0.500, 0.500, 0.500]]}



Record 3
{"formula": "Li2V3WO8", "functional": "GGA+U", "state": "relaxed", "total_magnetization_mub_per_atom": 0.50, "e_tot_ev_per_atom": -7.317, "de_polymorph_ev_per_atom": 0.0053, "lattice_angstrom": [[8.620, -0.001, 0.001], [-0.001, 8.586, -0.001], [0.001, -0.001, 8.614]], "species": ["O", "O", "O", "O", "O", "O", "O", "O", "O", "O", "O", "O", "O", "O", "O", "O", "O", "O", "O", "O", "O", "O", "O", "O", "O", "O", "O", "O", "O", "O", "O", "O", "V", "V", "V", "V", "V", "V", "V", "V", "V", "V", "V", "V", "Li", "Li", "Li", "Li", "Li", "Li", "Li", "Li", "W", "W", "W", "W"], "frac_coords": [[0.360, 0.860, 0.370], [0.113, 0.613, 0.887], [0.111, 0.107, 0.380], [0.881, 0.390, 0.888], [0.389, 0.893, 0.880], [0.381, 0.111, 0.113], [0.110, 0.384, 0.112], [0.391, 0.616, 0.612], [0.139, 0.868, 0.138], [0.633, 0.856, 0.637], [0.619, 0.611, 0.387], [0.388, 0.387, 0.387], [0.639, 0.360, 0.131], [0.887, 0.113, 0.613], [0.118, 0.889, 0.613], [0.361, 0.132, 0.638], [0.363, 0.637, 0.137], [0.608, 0.116, 0.888], [0.137, 0.363, 0.637], [0.367, 0.356, 0.863], [0.861, 0.368, 0.362], [0.860, 0.640, 0.630], [0.637, 0.137, 0.363], [0.141, 0.139, 0.870], [0.888, 0.606, 0.120], [0.613, 0.887, 0.113], [0.133, 0.644, 0.363], [0.867, 0.145, 0.137], [0.611, 0.393, 0.620], [0.863, 0.863, 0.863], [0.891, 0.884, 0.388], [0.639, 0.632, 0.862], [0.630, 0.874, 0.880], [0.877, 0.879, 0.629], [0.123, 0.379, 0.872], [0.870, 0.126, 0.381], [0.622, 0.121, 0.129], [0.622, 0.372, 0.374], [0.370, 0.374, 0.620], [0.130, 0.626, 0.120], [0.878, 0.628, 0.874], [0.377, 0.621, 0.371], [0.378, 0.872, 0.126], [0.122, 0.128, 0.626], [0.499, 0.500, 0.001], [0.750, 0.249, 0.749], [0.501, 0.001, 0.499], [0.250, 0.748, 0.751], [0.001, 0.499, 0.501], [0.250, 0.252, 0.251], [0.999, 0.000, 0.999], [0.749, 0.752, 0.249], [0.626, 0.624, 0.625], [0.126, 0.875, 0.375], [0.374, 0.124, 0.875], [0.874, 0.376, 0.124]]}